# Ba3TiZnWO9

A relaxed structure of Ba3TiZnWO9 (GGA+U, the Materials Project database).

a = 5.8817 Å, b = 5.8817 Å, c = 14.4480 Å
α = 90.00°, β = 90.00°, γ = 120.00°
Fractional coordinates of all 30 atoms:
Ba: 0.6667 0.3333 0.5928
Ba: 0.3333 0.6667 0.4030
Ba: 0.3333 0.6667 0.0928
Ba: 0.6667 0.3333 0.9030
Ba: 0.0000 0.0000 0.7536
Ba: 0.0000 0.0000 0.2536
Ti: 0.6667 0.3333 0.3569
Ti: 0.3333 0.6667 0.8569
Zn: 0.0000 0.0000 0.4960
Zn: 0.0000 0.0000 0.9960
W: 0.3333 0.6667 0.6574
W: 0.6667 0.3333 0.1574
O: 0.1732 0.3465 0.5864
O: 0.1732 0.8268 0.5864
O: 0.6535 0.8268 0.5864
O: 0.8283 0.6567 0.4143
O: 0.8283 0.1717 0.4143
O: 0.3433 0.1717 0.4143
O: 0.8268 0.6535 0.0864
O: 0.8268 0.1732 0.0864
O: 0.3465 0.1732 0.0864
O: 0.1717 0.3433 0.9143
O: 0.1717 0.8283 0.9143
O: 0.6567 0.8283 0.9143
O: 0.4833 0.9666 0.7461
O: 0.4833 0.5167 0.7461
O: 0.0334 0.5167 0.7461
O: 0.5167 0.0334 0.2461
O: 0.5167 0.4833 0.2461
O: 0.9666 0.4833 0.2461

Output
The calculation puts the energy relative to the elements at -2929 meV/atom.